P:
{
  "formula": "Li3CoPCO7",
  "functional": "PBE with a Hubbard U",
  "state": "optimized geometry",
  "lattice_angstrom": [[0.118, 5.075, 0.000], [-8.454, -0.098, 6.527], [8.453, 0.098, 6.527]],
  "species": ["Li", "Li", "Li", "Li", "Li", "Li", "Li", "Li", "Li", "Li", "Li", "Li", "Co", "Co", "Co", "Co", "P", "P", "P", "P", "C", "C", "C", "C", "O", "O", "O", "O", "O", "O", "O", "O", "O", "O", "O", "O", "O", "O", "O", "O", "O", "O", "O", "O", "O", "O", "O", "O", "O", "O", "O", "O"],
  "fractional_positions": [[0.043, 0.765, 0.759], [0.043, 0.265, 0.259], [0.957, 0.009, 0.015], [0.957, 0.509, 0.515], [0.420, 0.008, 0.198], [0.420, 0.508, 0.698], [0.580, 0.948, 0.758], [0.579, 0.448, 0.258], [0.441, 0.931, 0.463], [0.441, 0.431, 0.963], [0.559, 0.213, 0.681], [0.559, 0.713, 0.181], [0.047, 0.730, 0.009], [0.953, 0.259, 0.980], [0.047, 0.230, 0.509], [0.953, 0.759, 0.480], [0.955, 0.955, 0.294], [0.955, 0.455, 0.794], [0.045, 0.044, 0.705], [0.045, 0.544, 0.205], [0.538, 0.308, 0.431], [0.538, 0.808, 0.931], [0.462, 0.681, 0.558], [0.462, 0.181, 0.058], [0.377, 0.345, 0.357], [0.377, 0.845, 0.857], [0.623, 0.607, 0.595], [0.623, 0.107, 0.095], [0.790, 0.335, 0.424], [0.790, 0.835, 0.924], [0.210, 0.674, 0.585], [0.210, 0.174, 0.085], [0.073, 0.911, 0.153], [0.073, 0.411, 0.653], [0.927, 0.904, 0.661], [0.927, 0.404, 0.161], [0.032, 0.102, 0.336], [0.032, 0.602, 0.836], [0.968, 0.086, 0.852], [0.968, 0.586, 0.352], [0.453, 0.247, 0.515], [0.453, 0.747, 0.015], [0.547, 0.765, 0.497], [0.547, 0.265, 0.997], [0.654, 0.927, 0.297], [0.654, 0.427, 0.797], [0.346, 0.047, 0.677], [0.346, 0.547, 0.177], [0.096, 0.887, 0.386], [0.095, 0.387, 0.886], [0.905, 0.136, 0.637], [0.904, 0.636, 0.137]]
}

***

Q:
{
  "formula": "Li3CoPCO7",
  "functional": "PBE with a Hubbard U",
  "state": "optimized geometry",
  "sg": "P1 (1)",
  "crystal_system": "triclinic",
  "lattice_angstrom": [[-4.375, 3.479, -3.200], [-6.000, -5.478, 2.381], [-0.967, 5.958, 7.889]],
  "species": ["Li", "Li", "Li", "Li", "Li", "Li", "Li", "Li", "Li", "Li", "Li", "Li", "Co", "Co", "Co", "Co", "P", "P", "P", "P", "C", "C", "C", "C", "O", "O", "O", "O", "O", "O", "O", "O", "O", "O", "O", "O", "O", "O", "O", "O", "O", "O", "O", "O", "O", "O", "O", "O", "O", "O", "O", "O"],
  "fractional_positions": [[0.742, 0.894, 0.393], [0.745, 0.899, 0.881], [0.509, 0.724, 0.137], [0.998, 0.727, 0.614], [0.511, 0.724, 0.610], [0.252, 0.651, 0.398], [0.473, 0.282, 0.375], [0.028, 0.284, 0.376], [0.476, 0.277, 0.871], [0.019, 0.275, 0.871], [0.251, 0.100, 0.115], [0.250, 0.103, 0.610], [0.996, 0.730, 0.144], [0.253, 0.667, 0.894], [0.751, 0.331, 0.103], [0.751, 0.332, 0.604], [0.753, 0.590, 0.362], [0.751, 0.586, 0.865], [0.249, 0.409, 0.141], [0.251, 0.416, 0.639], [0.242, 0.963, 0.348], [0.247, 0.961, 0.848], [0.751, 0.038, 0.151], [0.749, 0.038, 0.651], [0.250, 0.931, 0.470], [0.756, 0.893, 0.189], [0.253, 0.929, 0.973], [0.237, 0.847, 0.248], [0.746, 0.893, 0.681], [0.240, 0.842, 0.755], [0.942, 0.694, 0.411], [0.560, 0.690, 0.405], [0.939, 0.691, 0.927], [0.565, 0.691, 0.917], [0.247, 0.578, 0.089], [0.763, 0.568, 0.201], [0.254, 0.579, 0.587], [0.761, 0.568, 0.709], [0.249, 0.428, 0.296], [0.750, 0.423, 0.412], [0.250, 0.434, 0.798], [0.749, 0.420, 0.916], [0.062, 0.305, 0.083], [0.438, 0.312, 0.083], [0.438, 0.309, 0.589], [0.064, 0.309, 0.586], [0.741, 0.158, 0.243], [0.246, 0.108, 0.315], [0.752, 0.156, 0.746], [0.754, 0.065, 0.026], [0.249, 0.106, 0.815], [0.748, 0.073, 0.527]]
}

***

Pick P: it beats the second-best structure by 30 meV/atom.

***

P:
{
  "formula": "Li3CoPCO7",
  "functional": "PBE with a Hubbard U",
  "state": "optimized geometry",
  "lattice_angstrom": [[4.994, 0.000, 0.251], [0.000, 6.431, 0.000], [0.997, 0.000, 16.941]],
  "species": ["Li", "Li", "Li", "Li", "Li", "Li", "Li", "Li", "Li", "Li", "Li", "Li", "Co", "Co", "Co", "Co", "P", "P", "P", "P", "C", "C", "C", "C", "O", "O", "O", "O", "O", "O", "O", "O", "O", "O", "O", "O", "O", "O", "O", "O", "O", "O", "O", "O", "O", "O", "O", "O", "O", "O", "O", "O"],
  "fractional_positions": [[0.794, 0.250, 0.052], [0.794, 0.250, 0.552], [0.206, 0.750, 0.448], [0.206, 0.750, 0.948], [0.732, 0.984, 0.363], [0.732, 0.984, 0.863], [0.268, 0.016, 0.137], [0.268, 0.016, 0.637], [0.268, 0.484, 0.137], [0.268, 0.484, 0.637], [0.732, 0.516, 0.363], [0.732, 0.516, 0.863], [0.788, 0.750, 0.666], [0.212, 0.250, 0.334], [0.788, 0.750, 0.166], [0.212, 0.250, 0.834], [0.733, 0.250, 0.206], [0.733, 0.250, 0.706], [0.267, 0.750, 0.294], [0.267, 0.750, 0.794], [0.678, 0.750, 0.020], [0.678, 0.750, 0.520], [0.322, 0.250, 0.480], [0.322, 0.250, 0.980], [0.504, 0.250, 0.418], [0.504, 0.250, 0.918], [0.496, 0.750, 0.082], [0.496, 0.750, 0.582], [0.927, 0.750, 0.034], [0.927, 0.750, 0.534], [0.073, 0.250, 0.466], [0.073, 0.250, 0.966], [0.164, 0.750, 0.212], [0.164, 0.750, 0.712], [0.836, 0.250, 0.288], [0.836, 0.250, 0.788], [0.418, 0.250, 0.217], [0.418, 0.250, 0.716], [0.582, 0.750, 0.283], [0.582, 0.750, 0.784], [0.606, 0.750, 0.449], [0.606, 0.750, 0.949], [0.394, 0.250, 0.051], [0.394, 0.250, 0.551], [0.161, 0.562, 0.347], [0.161, 0.562, 0.847], [0.161, 0.938, 0.347], [0.162, 0.938, 0.847], [0.839, 0.438, 0.153], [0.839, 0.438, 0.653], [0.839, 0.062, 0.153], [0.838, 0.062, 0.653]]
}

***

Q:
{
  "formula": "Li3CoPCO7",
  "functional": "PBE with a Hubbard U",
  "state": "optimized geometry",
  "sg": "P2_1/c (14)",
  "crystal_system": "monoclinic",
  "lattice_angstrom": [[6.391, 0.000, 0.000], [0.000, 9.448, 0.000], [0.000, 4.365, 8.827]],
  "species": ["Li", "Li", "Li", "Li", "Li", "Li", "Li", "Li", "Li", "Li", "Li", "Li", "Co", "Co", "Co", "Co", "P", "P", "P", "P", "C", "C", "C", "C", "O", "O", "O", "O", "O", "O", "O", "O", "O", "O", "O", "O", "O", "O", "O", "O", "O", "O", "O", "O", "O", "O", "O", "O", "O", "O", "O", "O"],
  "fractional_positions": [[0.251, 0.098, 0.319], [0.249, 0.098, 0.819], [0.013, 0.279, 0.492], [0.487, 0.279, 0.992], [0.753, 0.347, 0.687], [0.747, 0.347, 0.187], [0.247, 0.653, 0.313], [0.253, 0.653, 0.813], [0.987, 0.721, 0.508], [0.513, 0.721, 0.008], [0.749, 0.902, 0.681], [0.751, 0.902, 0.181], [0.494, 0.276, 0.489], [0.006, 0.276, 0.989], [0.506, 0.724, 0.511], [0.994, 0.724, 0.011], [0.248, 0.409, 0.686], [0.252, 0.409, 0.186], [0.752, 0.591, 0.314], [0.748, 0.591, 0.814], [0.741, 0.038, 0.378], [0.759, 0.038, 0.878], [0.259, 0.962, 0.622], [0.241, 0.962, 0.122], [0.748, 0.069, 0.739], [0.752, 0.069, 0.239], [0.263, 0.111, 0.515], [0.738, 0.149, 0.423], [0.237, 0.111, 0.015], [0.762, 0.149, 0.923], [0.057, 0.314, 0.678], [0.441, 0.310, 0.679], [0.059, 0.310, 0.179], [0.443, 0.314, 0.178], [0.745, 0.421, 0.446], [0.252, 0.421, 0.339], [0.755, 0.421, 0.946], [0.248, 0.421, 0.839], [0.748, 0.579, 0.661], [0.255, 0.579, 0.554], [0.752, 0.579, 0.161], [0.245, 0.579, 0.054], [0.943, 0.686, 0.322], [0.559, 0.690, 0.321], [0.941, 0.690, 0.821], [0.557, 0.686, 0.822], [0.262, 0.851, 0.577], [0.737, 0.889, 0.485], [0.238, 0.851, 0.077], [0.763, 0.889, 0.985], [0.252, 0.931, 0.261], [0.248, 0.931, 0.761]]
}

***

Pick P: it beats the second-best structure by 33 meV/atom.

***

P:
{
  "formula": "Li3CoPCO7",
  "functional": "PBE with a Hubbard U",
  "state": "optimized geometry",
  "sg": "P1 (1)",
  "crystal_system": "triclinic",
  "lattice_angstrom": [[0.421, 4.892, 0.007], [-0.006, 0.019, 12.758], [8.608, 0.037, -0.004]],
  "species": ["Li", "Li", "Li", "Li", "Li", "Li", "Li", "Li", "Li", "Li", "Li", "Li", "Co", "Co", "Co", "Co", "P", "P", "P", "P", "C", "C", "C", "C", "O", "O", "O", "O", "O", "O", "O", "O", "O", "O", "O", "O", "O", "O", "O", "O", "O", "O", "O", "O", "O", "O", "O", "O", "O", "O", "O", "O"],
  "fractional_positions": [[0.779, 0.132, 0.110], [0.779, 0.633, 0.109], [0.221, 0.384, 0.890], [0.222, 0.885, 0.891], [0.244, 0.239, 0.283], [0.243, 0.739, 0.283], [0.752, 0.495, 0.716], [0.752, 0.995, 0.716], [0.782, 0.370, 0.359], [0.782, 0.871, 0.359], [0.220, 0.121, 0.643], [0.220, 0.621, 0.642], [0.256, 0.497, 0.268], [0.744, 0.749, 0.736], [0.258, 0.997, 0.269], [0.740, 0.251, 0.741], [0.726, 0.125, 0.409], [0.724, 0.625, 0.408], [0.274, 0.372, 0.591], [0.275, 0.873, 0.591], [0.704, 0.382, 0.042], [0.704, 0.882, 0.041], [0.298, 0.130, 0.958], [0.299, 0.630, 0.958], [0.957, 0.382, 0.064], [0.956, 0.881, 0.064], [0.045, 0.132, 0.935], [0.046, 0.631, 0.935], [0.376, 0.122, 0.100], [0.376, 0.622, 0.101], [0.625, 0.370, 0.899], [0.626, 0.871, 0.898], [0.515, 0.390, 0.157], [0.514, 0.891, 0.156], [0.486, 0.133, 0.840], [0.488, 0.635, 0.842], [0.852, 0.028, 0.317], [0.851, 0.528, 0.318], [0.152, 0.277, 0.685], [0.151, 0.777, 0.685], [0.825, 0.220, 0.309], [0.824, 0.720, 0.309], [0.171, 0.469, 0.687], [0.171, 0.970, 0.687], [0.192, 0.372, 0.421], [0.192, 0.872, 0.422], [0.809, 0.127, 0.578], [0.807, 0.626, 0.578], [0.406, 0.115, 0.414], [0.405, 0.615, 0.415], [0.594, 0.364, 0.585], [0.594, 0.865, 0.585]]
}

***

Q:
{
  "formula": "Li3CoPCO7",
  "functional": "PBE with a Hubbard U",
  "state": "optimized geometry",
  "sg": "P1 (1)",
  "crystal_system": "triclinic",
  "lattice_angstrom": [[6.449, 0.000, 0.000], [-0.050, 8.455, 0.000], [-0.056, -0.898, 9.925]],
  "species": ["Li", "Li", "Li", "Li", "Li", "Li", "Li", "Li", "Li", "Li", "Li", "Li", "Co", "Co", "Co", "Co", "P", "P", "P", "P", "C", "C", "C", "C", "O", "O", "O", "O", "O", "O", "O", "O", "O", "O", "O", "O", "O", "O", "O", "O", "O", "O", "O", "O", "O", "O", "O", "O", "O", "O", "O", "O"],
  "fractional_positions": [[0.744, 0.909, 0.384], [0.744, 0.901, 0.882], [0.522, 0.719, 0.124], [0.982, 0.726, 0.627], [0.526, 0.723, 0.625], [0.750, 0.341, 0.107], [0.486, 0.276, 0.365], [0.014, 0.278, 0.365], [0.488, 0.276, 0.887], [0.006, 0.274, 0.885], [0.251, 0.109, 0.109], [0.251, 0.102, 0.615], [0.986, 0.732, 0.128], [0.250, 0.664, 0.397], [0.256, 0.662, 0.891], [0.751, 0.332, 0.605], [0.753, 0.590, 0.362], [0.750, 0.582, 0.861], [0.246, 0.410, 0.139], [0.251, 0.413, 0.638], [0.244, 0.961, 0.347], [0.247, 0.962, 0.851], [0.752, 0.038, 0.149], [0.751, 0.039, 0.652], [0.251, 0.928, 0.470], [0.760, 0.886, 0.181], [0.249, 0.926, 0.975], [0.237, 0.838, 0.254], [0.749, 0.892, 0.682], [0.242, 0.844, 0.756], [0.939, 0.694, 0.420], [0.563, 0.693, 0.410], [0.940, 0.687, 0.918], [0.566, 0.691, 0.913], [0.243, 0.581, 0.087], [0.765, 0.575, 0.204], [0.254, 0.580, 0.587], [0.755, 0.569, 0.704], [0.247, 0.435, 0.297], [0.748, 0.422, 0.411], [0.250, 0.433, 0.795], [0.747, 0.419, 0.913], [0.058, 0.308, 0.089], [0.440, 0.316, 0.090], [0.438, 0.308, 0.586], [0.063, 0.309, 0.584], [0.745, 0.146, 0.248], [0.246, 0.103, 0.311], [0.755, 0.155, 0.747], [0.751, 0.065, 0.026], [0.252, 0.107, 0.820], [0.748, 0.074, 0.528]]
}

***

R:
{
  "formula": "Li3CoPCO7",
  "functional": "PBE with a Hubbard U",
  "state": "optimized geometry",
  "sg": "P2_1/c (14)",
  "crystal_system": "monoclinic",
  "lattice_angstrom": [[6.392, 0.000, 0.000], [0.000, 9.449, 0.000], [0.000, 4.176, 8.791]],
  "species": ["Li", "Li", "Li", "Li", "Li", "Li", "Li", "Li", "Li", "Li", "Li", "Li", "Co", "Co", "Co", "Co", "P", "P", "P", "P", "C", "C", "C", "C", "O", "O", "O", "O", "O", "O", "O", "O", "O", "O", "O", "O", "O", "O", "O", "O", "O", "O", "O", "O", "O", "O", "O", "O", "O", "O", "O", "O"],
  "fractional_positions": [[0.241, 0.108, 0.557], [0.259, 0.108, 0.057], [0.501, 0.282, 0.736], [0.999, 0.282, 0.236], [0.747, 0.355, 0.935], [0.753, 0.355, 0.435], [0.247, 0.645, 0.565], [0.253, 0.645, 0.065], [0.001, 0.718, 0.764], [0.499, 0.718, 0.264], [0.741, 0.892, 0.943], [0.759, 0.892, 0.443], [0.008, 0.265, 0.741], [0.492, 0.265, 0.241], [0.508, 0.735, 0.759], [0.992, 0.735, 0.259], [0.258, 0.408, 0.934], [0.242, 0.408, 0.434], [0.758, 0.592, 0.566], [0.742, 0.592, 0.066], [0.740, 0.043, 0.629], [0.760, 0.043, 0.129], [0.240, 0.957, 0.871], [0.260, 0.957, 0.371], [0.765, 0.066, 0.989], [0.735, 0.066, 0.489], [0.232, 0.102, 0.762], [0.754, 0.158, 0.668], [0.268, 0.102, 0.262], [0.746, 0.158, 0.168], [0.059, 0.316, 0.927], [0.442, 0.306, 0.927], [0.058, 0.306, 0.427], [0.441, 0.316, 0.427], [0.759, 0.423, 0.695], [0.237, 0.418, 0.591], [0.741, 0.423, 0.195], [0.263, 0.418, 0.091], [0.737, 0.582, 0.909], [0.259, 0.577, 0.805], [0.763, 0.582, 0.409], [0.241, 0.577, 0.305], [0.942, 0.694, 0.573], [0.559, 0.684, 0.573], [0.941, 0.684, 0.073], [0.558, 0.694, 0.073], [0.254, 0.842, 0.832], [0.732, 0.898, 0.738], [0.246, 0.842, 0.332], [0.768, 0.898, 0.238], [0.265, 0.934, 0.511], [0.235, 0.934, 0.011]]
}

***

Pick Q: it beats the second-best structure by 13 meV/atom.